[1]
Entry from the Materials Project database: a geometry-optimized In2Au3 structure (PBE-GGA).

Density ... 12.22 g/cm3
Final energy ... -3.14 eV per atom
Energy above the lowest structure with this stoichiometry ... 0.088 eV/atom
DFT formation energy ... -0.077 eV/atom

CIF file:
```
data_In2Au3
_cell_length_a 4.6362
_cell_length_b 4.6362
_cell_length_c 5.9891
_cell_angle_alpha 90.00
_cell_angle_beta 90.00
_cell_angle_gamma 120.00
_space_group_name_H-M_alt 'P -3 m 1'
_space_group_IT_number 164
_space_group_name_Hall '-P 3 2"'
loop_
_atom_site_label
_atom_site_type_symbol
_atom_site_fract_x
_atom_site_fract_y
_atom_site_fract_z
_atom_site_occupancy
In1 In 0.3333 0.6667 0.1796 1
Au1 Au 0.0000 0.0000 0.0000 1
Au2 Au 0.3333 0.6667 0.6470 1
```

[2]
Entry from the Materials Project database: a geometry-optimized Rb3Ga structure (PBE-GGA).

Density ... 2.45 g/cm3
Final energy ... -1.28 eV per atom
DFT formation energy ... 0.215 eV/atom

CIF file:
```
data_Rb3Ga
_cell_length_a 6.269
_cell_length_b 6.269
_cell_length_c 11.272
_cell_angle_alpha 90.00
_cell_angle_beta 90.00
_cell_angle_gamma 90.00
_space_group_name_H-M_alt 'I 4/m m m'
_space_group_IT_number 139
_space_group_name_Hall '-I 4 2'
loop_
_atom_site_label
_atom_site_type_symbol
_atom_site_fract_x
_atom_site_fract_y
_atom_site_fract_z
_atom_site_occupancy
Rb1 Rb 0.000 0.000 0.000 1
Rb2 Rb 0.000 0.500 0.250 1
Ga1 Ga 0.000 0.000 0.500 1
```

[3]
Entry from the Materials Project database: a geometry-optimized NiGePd structure (PBE-GGA).

Density ... 9.47 g/cm3
Final energy ... -5.66 eV per atom
DFT formation energy ... -0.463 eV/atom

CIF file:
```
data_NiGePd
_cell_length_a 3.635
_cell_length_b 3.635
_cell_length_c 6.308
_cell_angle_alpha 90.00
_cell_angle_beta 90.00
_cell_angle_gamma 90.00
_space_group_name_H-M_alt 'P 4/n m m'
_space_group_IT_number 129
loop_
_space_group_symop_operation_xyz
'x,y,z'
'-x,-y,-z'
'-y+1/2,x,z'
'y+1/2,-x,-z'
'-x+1/2,-y+1/2,z'
'x+1/2,y+1/2,-z'
'y,-x+1/2,z'
'-y,x+1/2,-z'
'x+1/2,-y,-z'
'-x+1/2,y,z'
'-y,-x,-z'
'y,x,z'
'-x,y+1/2,-z'
'x,-y+1/2,z'
'y+1/2,x+1/2,-z'
'-y+1/2,-x+1/2,z'
loop_
_atom_site_label
_atom_site_type_symbol
_atom_site_fract_x
_atom_site_fract_y
_atom_site_fract_z
_atom_site_occupancy
Ni1 Ni 0.250 0.750 0.000 1
Ge1 Ge 0.250 0.250 0.245 1
Pd1 Pd 0.250 0.250 0.639 1
```

[4]
Entry from the Materials Project database: a geometry-optimized Sr3Ca structure (PBE-GGA).

Density ... 2.48 g/cm3
Final energy ... -1.76 eV per atom
DFT formation energy ... 0.010 eV/atom

CIF file:
```
data_Sr3Ca
_cell_length_a 5.879
_cell_length_b 5.879
_cell_length_c 5.879
_cell_angle_alpha 90.00
_cell_angle_beta 90.00
_cell_angle_gamma 90.00
_space_group_name_H-M_alt 'P m -3 m'
_space_group_IT_number 221
_space_group_name_Hall '-P 4 2 3'
loop_
_atom_site_label
_atom_site_type_symbol
_atom_site_fract_x
_atom_site_fract_y
_atom_site_fract_z
_atom_site_occupancy
Sr1 Sr 0.000 0.000 0.500 1
Ca1 Ca 0.500 0.500 0.500 1
```

[5]
Entry from the Materials Project database: a geometry-optimized KBaO3 structure (PBE-GGA).

Density ... 2.96 g/cm3
Final energy ... -4.41 eV per atom
DFT formation energy ... -1.247 eV/atom

CIF file:
```
data_KBaO3
_cell_length_a 5.014
_cell_length_b 5.014
_cell_length_c 5.014
_cell_angle_alpha 90.00
_cell_angle_beta 90.00
_cell_angle_gamma 90.00
_space_group_name_H-M_alt 'P m -3 m'
_space_group_IT_number 221
_space_group_name_Hall '-P 4 2 3'
loop_
_atom_site_label
_atom_site_type_symbol
_atom_site_fract_x
_atom_site_fract_y
_atom_site_fract_z
_atom_site_occupancy
K1 K 0.000 0.000 0.000 1
Ba1 Ba 0.500 0.500 0.500 1
O1 O 0.000 0.500 0.500 1
```

[6]
Entry from the Materials Project database: a geometry-optimized Cs2Mn3Te4 structure (PBE-GGA).

Density ... 4.59 g/cm3
Final energy ... -5.15 eV per atom
DFT formation energy ... -0.687 eV/atom

CIF file:
```
data_Cs2Mn3Te4
_cell_length_a 6.665
_cell_length_b 13.097
_cell_length_c 15.600
_cell_angle_alpha 90.00
_cell_angle_beta 90.00
_cell_angle_gamma 90.00
_space_group_name_H-M_alt 'I b a m'
_space_group_IT_number 72
_space_group_name_Hall '-I 2 2c'
loop_
_atom_site_label
_atom_site_type_symbol
_atom_site_fract_x
_atom_site_fract_y
_atom_site_fract_z
_atom_site_occupancy
Cs1 Cs 0.236 0.123 0.000 1
Mn1 Mn 0.000 0.236 0.250 1
Mn2 Mn 0.000 0.500 0.250 1
Te1 Te 0.228 0.369 0.150 1
```

[7]
Entry from the Materials Project database: a geometry-optimized Na18Ca4Ta8Si15S3O72 structure (PBE-GGA).

Density ... 3.71 g/cm3
Final energy ... -7.30 eV per atom
DFT formation energy ... -2.902 eV/atom

CIF file:
```
data_Na18Ca4Ta8Si15S3O72
_cell_length_a 9.154
_cell_length_b 9.168
_cell_length_c 22.674
_cell_angle_alpha 89.87
_cell_angle_beta 89.90
_cell_angle_gamma 60.14
_space_group_name_H-M_alt 'P 1'
_space_group_IT_number 1
loop_
_space_group_symop_operation_xyz
'x,y,z'
loop_
_atom_site_label
_atom_site_type_symbol
_atom_site_fract_x
_atom_site_fract_y
_atom_site_fract_z
_atom_site_occupancy
Na1 Na 0.000 0.000 0.000 1
Na2 Na 0.001 0.354 0.500 1
Na3 Na 0.250 0.746 0.508 1
Na4 Na 0.253 0.354 0.005 1
Na5 Na 0.262 0.399 0.335 1
Na6 Na 0.283 0.021 0.087 1
Na7 Na 0.296 0.027 0.586 1
Na8 Na 0.301 0.357 0.683 1
Na9 Na 0.600 0.999 0.500 1
Na10 Na 0.604 0.751 0.005 1
Na11 Na 0.610 0.052 0.180 1
Na12 Na 0.619 0.363 0.259 1
Na13 Na 0.622 0.386 0.759 1
Na14 Na 0.667 0.677 0.334 1
Na15 Na 0.932 0.718 0.414 1
Na16 Na 0.934 0.053 0.680 1
Na17 Na 0.938 0.363 0.180 1
Na18 Na 0.954 0.719 0.914 1
Ca1 Ca 0.279 0.036 0.943 1
Ca2 Ca 0.282 0.037 0.445 1
Ca3 Ca 0.948 0.709 0.773 1
Ca4 Ca 0.949 0.709 0.270 1
Ta1 Ta 0.272 0.034 0.737 1
Ta2 Ta 0.276 0.051 0.238 1
Ta3 Ta 0.614 0.373 0.110 1
Ta4 Ta 0.616 0.371 0.611 1
Ta5 Ta 0.627 0.362 0.905 1
Ta6 Ta 0.628 0.354 0.405 1
Ta7 Ta 0.944 0.701 0.572 1
Ta8 Ta 0.952 0.706 0.073 1
Si1 Si 0.247 0.697 0.673 1
Si2 Si 0.252 0.407 0.177 1
Si3 Si 0.321 0.383 0.508 1
Si4 Si 0.324 0.648 0.006 1
Si5 Si 0.578 0.042 0.345 1
Si6 Si 0.630 0.073 0.010 1
Si7 Si 0.630 0.647 0.507 1
Si8 Si 0.646 0.706 0.175 1
Si9 Si 0.649 0.998 0.674 1
Si10 Si 0.900 0.384 0.009 1
Si11 Si 0.901 0.068 0.511 1
Si12 Si 0.943 0.408 0.677 1
Si13 Si 0.950 0.004 0.173 1
Si14 Si 0.976 0.044 0.846 1
Si15 Si 0.979 0.333 0.345 1
S1 S 0.294 0.736 0.342 1
S2 S 0.296 0.328 0.842 1
S3 S 0.570 0.734 0.843 1
O1 O 0.061 0.042 0.908 1
O2 O 0.073 0.250 0.405 1
O3 O 0.086 0.045 0.513 1
O4 O 0.087 0.224 0.011 1
O5 O 0.089 0.209 0.286 1
O6 O 0.095 0.059 0.789 1
O7 O 0.114 0.740 0.616 1
O8 O 0.117 0.512 0.121 1
O9 O 0.124 0.012 0.184 1
O10 O 0.128 0.219 0.685 1
O11 O 0.136 0.557 0.514 1
O12 O 0.138 0.658 0.013 1
O13 O 0.149 0.493 0.839 1
O14 O 0.155 0.702 0.336 1
O15 O 0.191 0.625 0.726 1
O16 O 0.195 0.498 0.239 1
O17 O 0.246 0.879 0.686 1
O18 O 0.252 0.222 0.180 1
O19 O 0.281 0.817 0.399 1
O20 O 0.295 0.246 0.898 1
O21 O 0.303 0.840 0.292 1
O22 O 0.304 0.217 0.512 1
O23 O 0.309 0.218 0.789 1
O24 O 0.309 0.829 0.009 1
O25 O 0.418 0.404 0.448 1
O26 O 0.420 0.530 0.947 1
O27 O 0.435 0.382 0.563 1
O28 O 0.437 0.533 0.061 1
O29 O 0.443 0.555 0.659 1
O30 O 0.444 0.065 0.287 1
O31 O 0.449 0.352 0.164 1
O32 O 0.454 0.839 0.793 1
O33 O 0.458 0.337 0.840 1
O34 O 0.461 0.573 0.339 1
O35 O 0.463 0.827 0.511 1
O36 O 0.466 0.009 0.688 1
O37 O 0.466 0.053 0.009 1
O38 O 0.469 0.886 0.184 1
O39 O 0.501 0.816 0.900 1
O40 O 0.502 0.022 0.406 1
O41 O 0.569 0.569 0.841 1
O42 O 0.570 0.231 0.345 1
O43 O 0.594 0.199 0.660 1
O44 O 0.608 0.554 0.159 1
O45 O 0.627 0.182 0.067 1
O46 O 0.638 0.528 0.562 1
O47 O 0.646 0.535 0.447 1
O48 O 0.649 0.177 0.951 1
O49 O 0.738 0.707 0.836 1
O50 O 0.744 0.872 0.615 1
O51 O 0.753 0.738 0.120 1
O52 O 0.759 0.881 0.336 1
O53 O 0.763 0.639 0.232 1
O54 O 0.777 0.406 0.951 1
O55 O 0.781 0.173 0.452 1
O56 O 0.787 0.942 0.724 1
O57 O 0.789 0.230 0.845 1
O58 O 0.789 0.348 0.344 1
O59 O 0.792 0.178 0.567 1
O60 O 0.792 0.374 0.064 1
O61 O 0.803 0.203 0.161 1
O62 O 0.803 0.348 0.664 1
O63 O 0.805 0.658 0.512 1
O64 O 0.805 0.889 0.013 1
O65 O 0.874 0.945 0.224 1
O66 O 0.903 0.514 0.734 1
O67 O 0.904 0.887 0.512 1
O68 O 0.905 0.561 0.015 1
O69 O 0.948 0.887 0.840 1
O70 O 0.961 0.516 0.339 1
O71 O 0.980 0.502 0.618 1
O72 O 0.980 0.879 0.114 1
```

[8]
Entry from the Materials Project database: a geometry-optimized SiO2 structure (PBE-GGA).

Density ... 1.81 g/cm3
Piezoelectric modulus e_max ... 0.0 C/m2
Final energy ... -7.91 eV per atom
DFT formation energy ... -3.258 eV/atom

CIF file:
```
data_SiO2
_cell_length_a 7.3628
_cell_length_b 7.3628
_cell_length_c 7.0510
_cell_angle_alpha 90.00
_cell_angle_beta 90.00
_cell_angle_gamma 120.00
_space_group_name_H-M_alt 'P 65 2 2'
_space_group_IT_number 179
_space_group_name_Hall 'P 65 2 (0 0 1)'
loop_
_atom_site_label
_atom_site_type_symbol
_atom_site_fract_x
_atom_site_fract_y
_atom_site_fract_z
_atom_site_occupancy
Si1 Si 0.2328 0.4656 0.2500 1
O1 O 0.0000 0.3155 0.1667 1
O2 O 0.2236 0.6118 0.4167 1
```

Question: The highest DFT formation energy belongs to which entry?
Answer: Rb3Ga

Question: Among the records above, which one has the lowest DFT formation energy?
Answer: SiO2

Question: The highest final energy belongs to which entry?
Answer: Rb3Ga

Question: DFT formation energy of number 2 (Rb3Ga)?
Answer: 0.215 eV/atom